(1)
RbNiWO3F3 | PBE with a Hubbard U | relaxed

Cell: 10.246 10.534 7.393 Å, 90.00 133.32 90.00°
Space group C2 (No. 5)
One atom of each set of equivalent atoms:
Rb  0.000  0.000  0.000 (multiplicity 2)
Rb  0.000  0.275  0.500 (multiplicity 2)
Ni  0.000  0.637  0.251 (multiplicity 4)
W  0.250  0.387  0.250 (multiplicity 4)
O  0.000  0.333  0.000 (multiplicity 2)
O  0.000  0.941  0.500 (multiplicity 2)
O  0.189  0.515  0.352 (multiplicity 4)
O  0.189  0.759  0.852 (multiplicity 4)
F  0.000  0.558  0.500 (multiplicity 2)
F  0.000  0.717  0.000 (multiplicity 2)
F  0.212  0.504  0.004 (multiplicity 4)
F  0.212  0.771  0.504 (multiplicity 4)

Summary:
Spin magnetization, μB per atom: 0.00
Energy of formation from the pure elements, eV per atom: -2.3449
Calculated density, g/cm³: 4.95
Crystal system: monoclinic

---

(2)
NiSn2O6F6 | PBE with a Hubbard U | relaxed

Cell: 5.736 6.812 7.115 Å, 82.67 82.47 89.90°
Space group P-1 (No. 2)
One atom of each set of equivalent atoms:
Ni  0.000  0.000  0.000 (multiplicity 1)
Sn  0.490  0.147  0.687 (multiplicity 2)
O  0.063  0.671  0.828 (multiplicity 2)
O  0.109  0.410  0.218 (multiplicity 2)
O  0.171  0.162  0.795 (multiplicity 2)
F  0.303  0.648  0.453 (multiplicity 2)
F  0.310  0.889  0.097 (multiplicity 2)
F  0.392  0.117  0.395 (multiplicity 2)

Summary:
Spin magnetization, μB per atom: 0.40
Energy of formation from the pure elements, eV per atom: -1.5543
Calculated density, g/cm³: 3.07
Crystal system: triclinic

---

(3)
U2Ni2O11F12 | PBE with a Hubbard U | relaxed

Cell: 15.026 14.726 7.970 Å, 90.00 91.29 90.00°
Space group C2/c (No. 15)
One atom of each set of equivalent atoms:
U  0.009  0.135  0.001 (multiplicity 8)
Ni  0.227  0.176  0.739 (multiplicity 8)
O  0.000  0.431  0.750 (multiplicity 4)
O  0.084  0.445  0.953 (multiplicity 8)
O  0.138  0.384  0.969 (multiplicity 8)
O  0.180  0.384  0.370 (multiplicity 8)
O  0.230  0.449  0.315 (multiplicity 8)
O  0.245  0.212  0.239 (multiplicity 8)
F  0.000  0.060  0.750 (multiplicity 4)
F  0.000  0.219  0.750 (multiplicity 4)
F  0.002  0.267  0.070 (multiplicity 8)
F  0.080  0.127  0.244 (multiplicity 8)
F  0.081  0.004  0.000 (multiplicity 8)
F  0.133  0.160  0.561 (multiplicity 8)
F  0.144  0.166  0.919 (multiplicity 8)

Summary:
Spin magnetization, μB per atom: 0.12
Energy of formation from the pure elements, eV per atom: -1.6384
Calculated density, g/cm³: 3.76
Crystal system: monoclinic

---

(4)
UNiO3F6 | PBE with a Hubbard U | relaxed

Cell: 11.739 6.733 7.960 Å, 90.00 97.20 90.00°
Space group C2/c (No. 15)
One atom of each set of equivalent atoms:
U  0.000  0.067  0.250 (multiplicity 4)
Ni  0.250  0.250  0.000 (multiplicity 4)
O  0.000  0.340  0.250 (multiplicity 4)
O  0.186  0.497  0.559 (multiplicity 8)
F  0.079  0.125  0.505 (multiplicity 8)
F  0.104  0.199  0.839 (multiplicity 8)
F  0.185  0.133  0.202 (multiplicity 8)

Summary:
Spin magnetization, μB per atom: 0.55
Energy of formation from the pure elements, eV per atom: -2.1812
Calculated density, g/cm³: 4.88
Crystal system: monoclinic

---

(5)
NiPbF6 | PBE with a Hubbard U | relaxed

Cell: 5.2528 5.2528 14.3337 Å, 90.00 90.00 120.00°
Space group R-3 (No. 148, hexagonal axes)
One atom of each set of equivalent atoms:
Ni  0.0000  0.0000  0.0000 (multiplicity 3)
Pb  0.0000  0.0000  0.5000 (multiplicity 3)
F  0.0097  0.6453  0.7485 (multiplicity 18)

Summary:
Energy of formation from the pure elements, eV per atom: -2.2812
Calculated density, g/cm³: 5.53
Crystal system: trigonal

---

(6)
NiPtF6 | PBE with a Hubbard U | relaxed

Cell: 5.0586 5.0586 13.7915 Å, 90.00 90.00 120.00°
Space group R-3 (No. 148, hexagonal axes)
One atom of each set of equivalent atoms:
Ni  0.0000  0.0000  0.0000 (multiplicity 3)
Pt  0.0000  0.0000  0.5000 (multiplicity 3)
F  0.0058  0.6486  0.2493 (multiplicity 18)

Summary:
Energy of formation from the pure elements, eV per atom: -1.9189
Calculated density, g/cm³: 5.99
Crystal system: trigonal

---

(7)
Rb3NiF7 | PBE with a Hubbard U | relaxed

Cell: 8.120 8.120 5.942 Å, 90.00 90.00 90.00°
Space group P4/mbm (No. 127)
One atom of each set of equivalent atoms:
Rb  0.000  0.000  0.000 (multiplicity 2)
Rb  0.190  0.310  0.500 (multiplicity 4)
Ni  0.000  0.500  0.000 (multiplicity 2)
F  0.000  0.000  0.500 (multiplicity 2)
F  0.110  0.610  0.217 (multiplicity 8)
F  0.157  0.343  0.000 (multiplicity 4)

Summary:
Energy of formation from the pure elements, eV per atom: -2.4658
Calculated density, g/cm³: 3.80
Crystal system: tetragonal

---

(8)
NiRhF6 | PBE with a Hubbard U | relaxed

Cell: 5.1044 5.1044 13.6511 Å, 90.00 90.00 120.00°
Space group R-3 (No. 148, hexagonal axes)
One atom of each set of equivalent atoms:
Ni  0.0000  0.0000  0.0000 (multiplicity 3)
Rh  0.0000  0.0000  0.5000 (multiplicity 3)
F  0.0081  0.3684  0.2491 (multiplicity 18)

Summary:
Energy of formation from the pure elements, eV per atom: -1.9931
Calculated density, g/cm³: 4.46
Crystal system: trigonal

---

(9)
NiSb3XeF23 | PBE with a Hubbard U | relaxed

Cell: 10.963 10.794 18.976 Å, 90.00 124.97 90.00°
Space group P2_1/c (No. 14)
One atom of each set of equivalent atoms:
Ni  0.000  0.000  0.000 (multiplicity 2)
Ni  0.500  0.000  0.500 (multiplicity 2)
Sb  0.195  0.206  0.489 (multiplicity 4)
Sb  0.270  0.505  0.747 (multiplicity 4)
Sb  0.287  0.709  0.495 (multiplicity 4)
Xe  0.297  0.053  0.753 (multiplicity 4)
F  0.052  0.165  0.973 (multiplicity 4)
F  0.055  0.080  0.463 (multiplicity 4)
F  0.081  0.029  0.223 (multiplicity 4)
F  0.107  0.141  0.677 (multiplicity 4)
F  0.125  0.216  0.372 (multiplicity 4)
F  0.133  0.589  0.473 (multiplicity 4)
F  0.165  0.566  0.257 (multiplicity 4)
F  0.171  0.739  0.878 (multiplicity 4)
F  0.184  0.018  0.123 (multiplicity 4)
F  0.196  0.671  0.023 (multiplicity 4)
F  0.232  0.677  0.729 (multiplicity 4)
F  0.252  0.551  0.157 (multiplicity 4)
F  0.268  0.194  0.608 (multiplicity 4)
F  0.305  0.124  0.851 (multiplicity 4)
F  0.322  0.167  0.265 (multiplicity 4)
F  0.336  0.168  0.019 (multiplicity 4)
F  0.342  0.080  0.508 (multiplicity 4)
F  0.356  0.522  0.870 (multiplicity 4)
F  0.380  0.587  0.469 (multiplicity 4)
F  0.410  0.659  0.614 (multiplicity 4)
F  0.441  0.668  0.019 (multiplicity 4)
F  0.448  0.570  0.331 (multiplicity 4)
F  0.463  0.536  0.770 (multiplicity 4)

Summary:
Spin magnetization, μB per atom: 0.03
Energy of formation from the pure elements, eV per atom: -2.1268
Calculated density, g/cm³: 3.58
Crystal system: monoclinic

---

(10)
NiSnF6 | PBE with a Hubbard U | relaxed

Cell: 5.2138 5.2138 13.9756 Å, 90.00 90.00 120.00°
Space group R-3 (No. 148, hexagonal axes)
One atom of each set of equivalent atoms:
Ni  0.0000  0.0000  0.0000 (multiplicity 3)
Sn  0.0000  0.0000  0.5000 (multiplicity 3)
F  0.0016  0.3745  0.2494 (multiplicity 18)

Summary:
Energy of formation from the pure elements, eV per atom: -2.6373
Calculated density, g/cm³: 4.41
Crystal system: trigonal

---

(11)
SrNiF4 | PBE with a Hubbard U | relaxed

Cell: 4.022 14.524 5.649 Å, 90.00 90.00 90.00°
Space group Cmc2_1 (No. 36)
One atom of each set of equivalent atoms:
Sr  0.000  0.156  0.000 (multiplicity 4)
Ni  0.000  0.413  0.054 (multiplicity 4)
F  0.000  0.085  0.573 (multiplicity 4)
F  0.000  0.296  0.249 (multiplicity 4)
F  0.000  0.337  0.763 (multiplicity 4)
F  0.000  0.465  0.392 (multiplicity 4)

Summary:
Spin magnetization, μB per atom: 0.33
Energy of formation from the pure elements, eV per atom: -3.2507
Calculated density, g/cm³: 4.48
Crystal system: orthorhombic

---

(12)
SrNiF6 | PBE with a Hubbard U | relaxed

Cell: 7.2496 7.2496 6.7090 Å, 90.00 90.00 120.00°
Space group R-3m (No. 166, hexagonal axes)
One atom of each set of equivalent atoms:
Sr  0.0000  0.0000  0.0000 (multiplicity 3)
Ni  0.0000  0.0000  0.5000 (multiplicity 3)
F  0.1052  0.5526  0.3291 (multiplicity 18)

Summary:
Energy of formation from the pure elements, eV per atom: -2.6112
Calculated density, g/cm³: 4.25
Crystal system: trigonal